1.
Density functional theory data (PBE) for a geometry-optimized Na4Ta3AlSi5SO24 structure.

Structure (CIF):
```
data_Na4Ta3AlSi5SO24
_symmetry_space_group_name_H-M 'P 1'
_symmetry_Int_Tables_number 1
_cell_length_a 8.8723
_cell_length_b 8.9124
_cell_length_c 22.3802
_cell_angle_alpha 89.03
_cell_angle_beta 89.39
_cell_angle_gamma 60.26
loop_
_symmetry_equiv_pos_as_xyz
'x,y,z'
loop_
_atom_site_label
_atom_site_type_symbol
_atom_site_fract_x
_atom_site_fract_y
_atom_site_fract_z
_atom_site_occupancy
Na1 Na 0.0000 0.0000 0.0000 1
Na2 Na 0.0009 0.0128 0.5073 1
Na3 Na 0.0161 0.6765 0.4238 1
Na4 Na 0.3178 0.3557 0.8324 1
Na5 Na 0.3233 0.3286 0.3337 1
Na6 Na 0.3334 0.9685 0.0829 1
Na7 Na 0.3549 0.0146 0.7538 1
Na8 Na 0.6599 0.6738 0.1730 1
Na9 Na 0.6631 0.3176 0.4230 1
Na10 Na 0.6694 0.6505 0.6648 1
Na11 Na 0.6892 0.3497 0.0857 1
Na12 Na 0.9545 0.7062 0.0828 1
Ta1 Ta 0.0055 0.9978 0.8586 1
Ta2 Ta 0.3206 0.3396 0.9812 1
Ta3 Ta 0.3260 0.3441 0.1944 1
Ta4 Ta 0.3371 0.3344 0.4847 1
Ta5 Ta 0.6610 0.6738 0.3164 1
Ta6 Ta 0.6677 0.6787 0.8150 1
Ta7 Ta 0.9846 0.0190 0.6520 1
Ta8 Ta 0.9948 0.0070 0.1516 1
Ta9 Ta 0.9947 0.0070 0.3611 1
Al1 Al 0.3393 0.3535 0.6997 1
Al2 Al 0.6560 0.6925 0.0291 1
Al3 Al 0.6578 0.6532 0.5204 1
Si1 Si 0.0001 0.3008 0.7534 1
Si2 Si 0.0312 0.3482 0.0881 1
Si3 Si 0.2838 0.7116 0.7528 1
Si4 Si 0.2846 0.0065 0.2548 1
Si5 Si 0.3326 0.6288 0.0854 1
Si6 Si 0.3748 0.6818 0.4261 1
Si7 Si 0.3788 0.9561 0.9251 1
Si8 Si 0.6113 0.3556 0.5924 1
Si9 Si 0.6135 0.0531 0.0880 1
Si10 Si 0.6589 0.9464 0.4274 1
Si11 Si 0.7002 0.0196 0.7563 1
Si12 Si 0.7041 0.2979 0.2558 1
Si13 Si 0.9406 0.6796 0.9266 1
Si14 Si 0.9454 0.3873 0.4251 1
Si15 Si 0.9953 0.7164 0.2569 1
S1 S 0.0402 0.6263 0.5909 1
S2 S 0.3332 0.0461 0.5912 1
S3 S 0.6629 0.3879 0.9240 1
O1 O 0.0143 0.8103 0.3162 1
O2 O 0.0176 0.1712 0.0932 1
O3 O 0.0310 0.8007 0.5921 1
O4 O 0.0368 0.1689 0.8110 1
O5 O 0.1244 0.3841 0.1445 1
O6 O 0.1297 0.5188 0.6431 1
O7 O 0.1370 0.3717 0.4333 1
O8 O 0.1385 0.5078 0.9281 1
O9 O 0.1428 0.5437 0.5341 1
O10 O 0.1580 0.8215 0.0927 1
O11 O 0.1618 0.0273 0.3124 1
O12 O 0.1625 0.8114 0.8124 1
O13 O 0.1647 0.3028 0.0306 1
O14 O 0.1685 0.5288 0.2503 1
O15 O 0.1702 0.0320 0.5904 1
O16 O 0.1724 0.3125 0.7406 1
O17 O 0.1748 0.8399 0.4180 1
O18 O 0.1799 0.9863 0.9170 1
O19 O 0.1923 0.8473 0.6962 1
O20 O 0.1931 0.9851 0.1944 1
O21 O 0.2909 0.5382 0.0298 1
O22 O 0.2979 0.1811 0.2494 1
O23 O 0.2976 0.5278 0.7489 1
O24 O 0.3071 0.1624 0.5372 1
O25 O 0.3423 0.1316 0.6456 1
O26 O 0.3483 0.5067 0.4321 1
O27 O 0.3628 0.1501 0.9277 1
O28 O 0.3661 0.5041 0.1444 1
O29 O 0.4586 0.7095 0.4838 1
O30 O 0.4642 0.8460 0.9854 1
O31 O 0.4712 0.7041 0.7624 1
O32 O 0.4722 0.8341 0.2613 1
O33 O 0.4865 0.1479 0.1451 1
O34 O 0.4880 0.8780 0.5843 1
O35 O 0.4900 0.3657 0.6477 1
O36 O 0.4896 0.8619 0.8644 1
O37 O 0.4920 0.1480 0.4334 1
O38 O 0.5002 0.6317 0.3668 1
O39 O 0.5027 0.3715 0.9256 1
O40 O 0.5040 0.6485 0.0792 1
O41 O 0.5063 0.1774 0.7483 1
O42 O 0.5155 0.3119 0.2489 1
O43 O 0.5208 0.3244 0.5308 1
O44 O 0.5260 0.1840 0.0307 1
O45 O 0.6280 0.8669 0.3662 1
O46 O 0.6358 0.5236 0.5834 1
O47 O 0.6357 0.8613 0.0846 1
O48 O 0.6426 0.4934 0.8696 1
O49 O 0.6814 0.4648 0.9791 1
O50 O 0.6850 0.8417 0.7623 1
O51 O 0.6900 0.4854 0.2612 1
O52 O 0.6987 0.8183 0.4834 1
O53 O 0.7946 0.1817 0.3160 1
O54 O 0.8002 0.0413 0.8134 1
O55 O 0.8075 0.0342 0.0937 1
O56 O 0.8086 0.1734 0.5940 1
O57 O 0.8180 0.2134 0.9182 1
O58 O 0.8191 0.4654 0.4815 1
O59 O 0.8207 0.7022 0.2605 1
O60 O 0.8229 0.2015 0.1964 1
O61 O 0.8247 0.4866 0.7629 1
O62 O 0.8266 0.9803 0.4189 1
O63 O 0.8273 0.9812 0.6975 1
O64 O 0.8326 0.6966 0.9868 1
O65 O 0.8386 0.5124 0.0804 1
O66 O 0.8485 0.6520 0.8675 1
O67 O 0.8651 0.5110 0.3652 1
O68 O 0.8654 0.6490 0.5858 1
O69 O 0.9608 0.8529 0.9172 1
O70 O 0.9634 0.2062 0.6960 1
O71 O 0.9683 0.1940 0.4160 1
O72 O 0.9739 0.8330 0.1964 1
```

2.
# Lu2MgSe4 (PBE, optimized geometry)
# Relative energy among the computed polymorphs   189.6 meV per atom
data_Lu2MgSe4
_symmetry_space_group_name_H-M 'P -1'
_symmetry_Int_Tables_number 2
_cell_length_a 7.3327
_cell_length_b 8.4890
_cell_length_c 13.8089
_cell_angle_alpha 81.08
_cell_angle_beta 84.81
_cell_angle_gamma 89.96
loop_
_symmetry_equiv_pos_as_xyz
'x,y,z'
'-x,-y,-z'
loop_
_atom_site_label
_atom_site_type_symbol
_atom_site_fract_x
_atom_site_fract_y
_atom_site_fract_z
_atom_site_occupancy
Lu1 Lu 0.1316 0.4457 0.2017 1
Lu2 Lu 0.1316 0.9537 0.1995 1
Lu3 Lu 0.2580 0.1253 0.4998 1
Lu4 Lu 0.3634 0.3003 0.7991 1
Mg1 Mg 0.2515 0.6246 0.5018 1
Mg2 Mg 0.3671 0.8007 0.7978 1
Se1 Se 0.0995 0.4032 0.3968 1
Se2 Se 0.1012 0.8994 0.3953 1
Se3 Se 0.1913 0.0258 0.8758 1
Se4 Se 0.1907 0.5367 0.8750 1
Se5 Se 0.3121 0.7190 0.1231 1
Se6 Se 0.3199 0.2190 0.1243 1
Se7 Se 0.3957 0.8457 0.6080 1
Se8 Se 0.4012 0.3515 0.6041 1

3.
Density functional theory data (PBE) for a geometry-optimized ZrAlPt structure.

Structure (CIF):
```
data_ZrAlPt
_symmetry_space_group_name_H-M 'P -6 2 c'
_symmetry_Int_Tables_number 190
_symmetry_space_group_name_Hall 'P -6c -2c'
_cell_length_a 7.1652
_cell_length_b 7.1652
_cell_length_c 7.2925
_cell_angle_alpha 90.00
_cell_angle_beta 90.00
_cell_angle_gamma 120.00
loop_
_atom_site_label
_atom_site_type_symbol
_atom_site_fract_x
_atom_site_fract_y
_atom_site_fract_z
_atom_site_occupancy
Zr1 Zr 0.0178 0.6059 0.2500 1
Al1 Al 0.0000 0.2582 0.0000 1
Pt1 Pt 0.0000 0.0000 0.2500 1
Pt2 Pt 0.3333 0.6667 0.5243 1
```

4.
Density functional theory data (PBE) for a geometry-optimized V3Re structure.

Structure (CIF):
```
data_V3Re
_symmetry_space_group_name_H-M 'F m -3 m'
_symmetry_Int_Tables_number 225
_symmetry_space_group_name_Hall '-F 4 2 3'
_cell_length_a 6.0297
_cell_length_b 6.0297
_cell_length_c 6.0297
_cell_angle_alpha 90.00
_cell_angle_beta 90.00
_cell_angle_gamma 90.00
loop_
_atom_site_label
_atom_site_type_symbol
_atom_site_fract_x
_atom_site_fract_y
_atom_site_fract_z
_atom_site_occupancy
V1 V 0.0000 0.0000 0.0000 1
V2 V 0.2500 0.2500 0.2500 1
Re1 Re 0.0000 0.0000 0.5000 1
```

5.
Density functional theory data (PBE) for a geometry-optimized Li4Ti2Cu3Sb3O16 structure.

Structure (CIF):
```
data_Li4Ti2Cu3Sb3O16
_symmetry_space_group_name_H-M 'C 1 m 1'
_symmetry_Int_Tables_number 8
_cell_length_a 10.7771
_cell_length_b 6.0561
_cell_length_c 9.8377
_cell_angle_alpha 90.00
_cell_angle_beta 93.68
_cell_angle_gamma 90.00
loop_
_symmetry_equiv_pos_as_xyz
'x,y,z'
'x,-y,z'
'x+1/2,y+1/2,z'
'x+1/2,-y+1/2,z'
loop_
_atom_site_label
_atom_site_type_symbol
_atom_site_fract_x
_atom_site_fract_y
_atom_site_fract_z
_atom_site_occupancy
Li1 Li 0.0000 0.0000 0.0000 1
Li2 Li 0.0098 0.0000 0.5231 1
Li3 Li 0.1868 0.5000 0.9142 1
Li4 Li 0.3424 0.0000 0.4269 1
Ti1 Ti 0.1972 0.5000 0.5266 1
Ti2 Ti 0.3803 0.0000 0.9877 1
Cu1 Cu 0.3475 0.5000 0.2334 1
Cu2 Cu 0.4395 0.2437 0.7288 1
Sb1 Sb 0.1010 0.2521 0.2380 1
Sb2 Sb 0.1930 0.0000 0.7400 1
O1 O 0.0039 0.5000 0.8752 1
O2 O 0.0165 0.0000 0.3343 1
O3 O 0.0237 0.0000 0.8143 1
O4 O 0.0292 0.5000 0.3535 1
O5 O 0.1193 0.2458 0.6135 1
O6 O 0.1684 0.0000 0.1297 1
O7 O 0.1785 0.5000 0.1295 1
O8 O 0.2445 0.2706 0.3706 1
O9 O 0.2687 0.2127 0.8801 1
O10 O 0.3492 0.0000 0.6368 1
O11 O 0.3491 0.5000 0.6043 1
O12 O 0.4470 0.2420 0.1121 1
```

6.
Density functional theory data (PBE) for a geometry-optimized FeNiSn structure.

Structure (CIF):
```
data_FeNiSn
_symmetry_space_group_name_H-M 'P 63/m m c'
_symmetry_Int_Tables_number 194
_symmetry_space_group_name_Hall '-P 6c 2c'
_cell_length_a 4.2870
_cell_length_b 4.2870
_cell_length_c 5.2150
_cell_angle_alpha 90.00
_cell_angle_beta 90.00
_cell_angle_gamma 120.00
loop_
_atom_site_label
_atom_site_type_symbol
_atom_site_fract_x
_atom_site_fract_y
_atom_site_fract_z
_atom_site_occupancy
Fe1 Fe 0.0000 0.0000 0.0000 1
Ni1 Ni 0.3333 0.6667 0.2500 1
Sn1 Sn 0.3333 0.6667 0.7500 1
```

7.
Density functional theory data (PBE) for a geometry-optimized CsLiMg30O31 structure.

Structure (CIF):
```
data_CsLiMg30O31
_symmetry_space_group_name_H-M 'P m m 2'
_symmetry_Int_Tables_number 25
_cell_length_a 8.5557
_cell_length_b 8.7609
_cell_length_c 8.6969
_cell_angle_alpha 90.00
_cell_angle_beta 90.00
_cell_angle_gamma 90.00
loop_
_symmetry_equiv_pos_as_xyz
'x,y,z'
'-x,-y,z'
'-x,y,z'
'x,-y,z'
loop_
_atom_site_label
_atom_site_type_symbol
_atom_site_fract_x
_atom_site_fract_y
_atom_site_fract_z
_atom_site_occupancy
Cs1 Cs 0.0000 0.0000 0.0000 1
Li1 Li 0.5000 0.0000 0.9873 1
Mg1 Mg 0.0000 0.0000 0.5097 1
Mg2 Mg 0.0000 0.2555 0.7588 1
Mg3 Mg 0.0000 0.2593 0.2667 1
Mg4 Mg 0.0000 0.5000 0.0128 1
Mg5 Mg 0.0000 0.5000 0.5154 1
Mg6 Mg 0.2340 0.0000 0.2665 1
Mg7 Mg 0.2472 0.5000 0.2643 1
Mg8 Mg 0.2500 0.5000 0.7665 1
Mg9 Mg 0.2516 0.2504 0.5131 1
Mg10 Mg 0.2550 0.0000 0.7595 1
Mg11 Mg 0.2586 0.2515 0.0190 1
Mg12 Mg 0.5000 0.0000 0.5335 1
Mg13 Mg 0.5000 0.2495 0.7718 1
Mg14 Mg 0.5000 0.2716 0.2586 1
Mg15 Mg 0.5000 0.5000 0.0088 1
Mg16 Mg 0.5000 0.5000 0.5172 1
O1 O 0.0000 0.0000 0.2933 1
O2 O 0.0000 0.0000 0.7210 1
O3 O 0.0000 0.2563 0.5126 1
O4 O 0.0000 0.2839 0.0213 1
O5 O 0.0000 0.5000 0.2742 1
O6 O 0.0000 0.5000 0.7580 1
O7 O 0.2503 0.2448 0.7660 1
O8 O 0.2531 0.5000 0.5162 1
O9 O 0.2541 0.2496 0.2672 1
O10 O 0.2548 0.5000 0.0151 1
O11 O 0.2640 0.0000 0.5042 1
O12 O 0.2966 0.0000 0.0451 1
O13 O 0.5000 0.0000 0.7600 1
O14 O 0.5000 0.2452 0.5081 1
O15 O 0.5000 0.2684 0.0157 1
O16 O 0.5000 0.5000 0.2707 1
O17 O 0.5000 0.5000 0.7589 1
```

8.
# Ho2MgS4 (PBE, optimized geometry)
# Relative energy among the computed polymorphs   80.9 meV per atom
data_Ho2MgS4
_symmetry_space_group_name_H-M 'I -4 2 d'
_symmetry_Int_Tables_number 122
_symmetry_space_group_name_Hall 'I -4 2bw'
_cell_length_a 8.1667
_cell_length_b 8.1667
_cell_length_c 8.4751
_cell_angle_alpha 90.00
_cell_angle_beta 90.00
_cell_angle_gamma 90.00
loop_
_atom_site_label
_atom_site_type_symbol
_atom_site_fract_x
_atom_site_fract_y
_atom_site_fract_z
_atom_site_occupancy
Ho1 Ho 0.1325 0.2500 0.1250 1
Mg1 Mg 0.0000 0.0000 0.5000 1
S1 S 0.0669 0.1949 0.8122 1

9.
# RbMg6Co (PBE, optimized geometry)
# Relative energy among the computed polymorphs   0.0 meV per atom
data_RbMg6Co
_symmetry_space_group_name_H-M 'A m m 2'
_symmetry_Int_Tables_number 38
_cell_length_a 4.5226
_cell_length_b 6.1437
_cell_length_c 15.8535
_cell_angle_alpha 90.00
_cell_angle_beta 90.00
_cell_angle_gamma 90.00
loop_
_symmetry_equiv_pos_as_xyz
'x,y,z'
'-x,-y,z'
'-x,y,z'
'x,-y,z'
'x,y+1/2,z+1/2'
'-x,-y+1/2,z+1/2'
'-x,y+1/2,z+1/2'
'x,-y+1/2,z+1/2'
loop_
_atom_site_label
_atom_site_type_symbol
_atom_site_fract_x
_atom_site_fract_y
_atom_site_fract_z
_atom_site_occupancy
Rb1 Rb 0.0000 0.0000 0.0000 1
Mg1 Mg 0.0000 0.0000 0.4183 1
Mg2 Mg 0.0000 0.2316 0.1980 1
Mg3 Mg 0.5000 0.0000 0.6157 1
Mg4 Mg 0.5000 0.2472 0.3162 1
Co1 Co 0.5000 0.0000 0.1856 1

10.
# Er2MgSe4 (PBE, optimized geometry)
# Relative energy among the computed polymorphs   188.4 meV per atom
data_Er2MgSe4
_symmetry_space_group_name_H-M 'P -1'
_symmetry_Int_Tables_number 2
_cell_length_a 7.4168
_cell_length_b 8.5942
_cell_length_c 13.8305
_cell_angle_alpha 80.93
_cell_angle_beta 84.66
_cell_angle_gamma 89.98
loop_
_symmetry_equiv_pos_as_xyz
'x,y,z'
'-x,-y,-z'
loop_
_atom_site_label
_atom_site_type_symbol
_atom_site_fract_x
_atom_site_fract_y
_atom_site_fract_z
_atom_site_occupancy
Er1 Er 0.1317 0.4450 0.2012 1
Er2 Er 0.1320 0.9548 0.1984 1
Er3 Er 0.2582 0.1259 0.4995 1
Er4 Er 0.3640 0.3002 0.8000 1
Mg1 Mg 0.2511 0.6233 0.5030 1
Mg2 Mg 0.3674 0.8004 0.7977 1
Se1 Se 0.0972 0.4055 0.3979 1
Se2 Se 0.1037 0.8974 0.3959 1
Se3 Se 0.1927 0.5399 0.8736 1
Se4 Se 0.1937 0.0229 0.8744 1
Se5 Se 0.3110 0.7190 0.1225 1
Se6 Se 0.3248 0.2191 0.1252 1
Se7 Se 0.3940 0.8449 0.6085 1
Se8 Se 0.4039 0.3535 0.6032 1

11.
Density functional theory data (PBE) for a geometry-optimized Na2TiAu structure.

Structure (CIF):
```
data_Na2TiAu
_symmetry_space_group_name_H-M 'F m -3 m'
_symmetry_Int_Tables_number 225
_symmetry_space_group_name_Hall '-F 4 2 3'
_cell_length_a 6.9134
_cell_length_b 6.9134
_cell_length_c 6.9134
_cell_angle_alpha 90.00
_cell_angle_beta 90.00
_cell_angle_gamma 90.00
loop_
_atom_site_label
_atom_site_type_symbol
_atom_site_fract_x
_atom_site_fract_y
_atom_site_fract_z
_atom_site_occupancy
Na1 Na 0.2500 0.2500 0.2500 1
Ti1 Ti 0.0000 0.0000 0.0000 1
Au1 Au 0.0000 0.0000 0.5000 1
```

12.
Density functional theory data (PBE) for a geometry-optimized SrPb2Cl6O5 structure.

Structure (CIF):
```
data_SrPb2Cl6O5
_symmetry_space_group_name_H-M 'C 1 2/c 1'
_symmetry_Int_Tables_number 15
_cell_length_a 14.4764
_cell_length_b 11.3118
_cell_length_c 8.6670
_cell_angle_alpha 90.00
_cell_angle_beta 116.09
_cell_angle_gamma 90.00
loop_
_symmetry_equiv_pos_as_xyz
'x,y,z'
'-x,-y,-z'
'-x,y,-z+1/2'
'x,-y,z+1/2'
'x+1/2,y+1/2,z'
'-x+1/2,-y+1/2,-z'
'-x+1/2,y+1/2,-z+1/2'
'x+1/2,-y+1/2,z+1/2'
loop_
_atom_site_label
_atom_site_type_symbol
_atom_site_fract_x
_atom_site_fract_y
_atom_site_fract_z
_atom_site_occupancy
Sr1 Sr 0.0000 0.0624 0.2500 1
Pb1 Pb 0.1506 0.4386 0.9907 1
Cl1 Cl 0.0667 0.3697 0.6051 1
Cl2 Cl 0.1511 0.1534 0.0135 1
Cl3 Cl 0.2303 0.3685 0.3603 1
O1 O 0.0000 0.3077 0.2500 1
O2 O 0.0435 0.0841 0.5655 1
O3 O 0.1893 0.0172 0.2440 1
```

What are the energy of formation values for these records? In order: -2.98; -1.76; -1.04; -0.27; -2.10; 0.02; -2.84; -2.09; 0.34; -1.77; 0.57; -0.44 eV/atom.